Computed, not measured: a geometry-optimized TiCoP structure at the r2SCAN level of DFT.

Cell lengths 6.0060, 3.5333, 6.7906 Å; angles 90.00, 90.00, 90.00 degrees
Closest atoms and distances in Å follow each position.
Space group Pnma (No. 62)
Asymmetric unit:
1 Ti 0.0233 0.2500 0.1788  5 P 2.51-2.56, 5 Co 2.67-2.80
2 Co 0.1388 0.2500 0.5627  4 P 2.23-2.29
3 P 0.2320 0.7500 0.3794  4 Co 2.23-2.29

Computed properties:
raw total energy: -12.847 eV per atom


Computed, not measured: a geometry-optimized DyB12 structure at the r2SCAN level of DFT.

Cell lengths 7.4871, 7.4871, 7.4871 Å; angles 90.00, 90.00, 90.00 degrees
Closest atoms and distances in Å follow each position.
Space group Fm-3m (No. 225)
Asymmetric unit:
1 Dy 0.0000 0.0000 0.0000  24 B 2.78
2 B 0.0000 0.1690 0.3310  5 B 1.72-1.79

Computed properties:
raw total energy: -9.507 eV per atom


Computed, not measured: a geometry-optimized YbEuSi4Au4 structure at the r2SCAN level of DFT.

Cell lengths 4.3126, 4.3126, 10.0295 Å; angles 90.00, 90.00, 90.00 degrees
Closest atoms and distances in Å follow each position.
Space group P4/mmm (No. 123)
Asymmetric unit:
1 Yb 0.0000 0.0000 0.0000  8 Au 3.24, 8 Si 3.25
2 Eu 0.5000 0.5000 0.5000  8 Si 3.26, 8 Au 3.37
3 Si 0.0000 0.0000 0.3841  1 Si 2.33, 4 Au 2.59
4 Si 0.5000 0.5000 0.1134  1 Si 2.28, 4 Au 2.51
5 Au 0.0000 0.5000 0.2416  4 Si 2.51-2.59

Computed properties:
raw total energy: -31.808 eV per atom


Computed, not measured: a geometry-optimized Nd2Mg structure at the r2SCAN level of DFT.

Cell lengths 3.8638, 17.5932, 5.6161 Å; angles 90.00, 90.00, 90.00 degrees
Closest atoms and distances in Å follow each position.
Space group Cmcm (No. 63)
Asymmetric unit:
1 Nd 0.0000 0.0878 0.2500  6 Mg 3.36-3.43, 2 Nd 3.73
2 Nd 0.0000 0.2271 0.7500  2 Mg 3.40, 8 Nd 3.50-3.79
3 Mg 0.0000 0.4316 0.2500  8 Nd 3.36-3.43, 2 Mg 3.70

Computed properties:
raw total energy: -21.074 eV per atom


Computed, not measured: a geometry-optimized AcSe3 structure at the r2SCAN level of DFT.

Cell lengths 4.3367, 4.3367, 10.9279 Å; angles 90.00, 90.00, 90.00 degrees
Closest atoms and distances in Å follow each position.
Space group I4/mmm (No. 139)
Asymmetric unit:
1 Ac 0.0000 0.0000 0.0000  4 Se 3.07
2 Se 0.0000 0.0000 0.5000  4 Ac 3.07
3 Se 0.0000 0.5000 0.2500  4 Se 3.07

Computed properties:
raw total energy: -29.095 eV per atom


Computed, not measured: a geometry-optimized PbSe2O5 structure at the r2SCAN level of DFT.

Cell lengths 4.5571, 9.5221, 12.5204 Å; angles 90.00, 111.07, 90.00 degrees
Closest atoms and distances in Å follow each position.
Space group P2_1/c (No. 14)
Asymmetric unit:
1 Pb 0.0431 0.0423 0.3463  5 O 2.49-2.68
2 Se 0.3534 0.6445 0.5800  3 O 1.67-1.85
3 Se 0.4067 0.2498 0.1137  3 O 1.67-1.86
4 O 0.2049 0.7289 0.8466  1 Se 1.67
5 O 0.2625 0.0903 0.5570  1 Se 1.71
6 O 0.3217 0.1574 0.9753  2 Se 1.85-1.86
7 O 0.3823 0.6931 0.1349  1 Se 1.68
8 O 0.4632 0.0425 0.8072  1 Se 1.67

Computed properties:
raw total energy: -15.341 eV per atom


Computed, not measured: a geometry-optimized URh3 structure at the r2SCAN level of DFT.

Cell lengths 3.9967, 3.9967, 3.9967 Å; angles 90.00, 90.00, 90.00 degrees
Closest atoms and distances in Å follow each position.
Space group Pm-3m (No. 221)
Asymmetric unit:
1 U 0.0000 0.0000 0.0000  12 Rh 2.83
2 Rh 0.0000 0.5000 0.5000  8 Rh 2.83, 4 U 2.83

Computed properties:
raw total energy: -38.798 eV per atom


Computed, not measured: a geometry-optimized B2O3 structure at the r2SCAN level of DFT.

Cell lengths 4.3374, 4.3374, 8.3090 Å; angles 90.00, 90.00, 120.00 degrees
Closest atoms and distances in Å follow each position.
Space group P3_121 (No. 152)
Asymmetric unit:
1 B 0.1629 0.3960 0.3917  3 O 1.37
2 O 0.0000 0.8443 0.1667  2 B 1.37
3 O 0.1491 0.5502 0.9613  2 B 1.37

Computed properties:
raw total energy: -9.077 eV per atom


Computed, not measured: a geometry-optimized Dy2Al3Si2 structure at the r2SCAN level of DFT.

Cell lengths 10.1241, 4.0348, 6.5867 Å; angles 90.00, 101.07, 90.00 degrees
Closest atoms and distances in Å follow each position.
Space group C2/m (No. 12)
Asymmetric unit:
1 Dy 0.1198 0.0000 0.3224  5 Si 2.88-2.99, 6 Al 3.01-3.22
2 Al 0.0000 0.5000 0.0000  2 Si 2.70, 4 Dy 3.01
3 Al 0.1945 0.0000 0.8680  2 Si 2.60, 2 Al 2.76
4 Si 0.0922 0.5000 0.6410  1 Si 2.37, 2 Al 2.60

Computed properties:
raw total energy: -15.113 eV per atom


Computed, not measured: a geometry-optimized V2H12C4S4O15 structure at the r2SCAN level of DFT.

Cell lengths 20.7052, 5.8637, 16.4067 Å; angles 90.00, 128.20, 90.00 degrees
Closest atoms and distances in Å follow each position.
Space group C2/c (No. 15)
Asymmetric unit:
1 V 0.0932 0.2480 0.3735  1 O 1.59
2 H 0.0141 0.1958 0.5492  1 C 1.09
3 H 0.0559 0.0968 0.6770  1 C 1.09
4 H 0.1222 0.2061 0.6498  1 C 1.09
5 H 0.1591 0.2713 0.0706  1 C 1.09
6 H 0.2461 0.2325 0.8014  1 C 1.09
7 H 0.2500 0.1613 0.0928  1 C 1.09
8 C 0.0622 0.2175 0.6321  3 H 1.09
9 C 0.2256 0.2849 0.1167  3 H 1.09
10 S 0.0522 0.4935 0.6629  3 O 1.43-1.53
11 S 0.2456 0.4410 0.5962  3 O 1.43-1.50
12 O 0.0000 0.1646 0.2500  2 V 1.80
13 O 0.0377 0.4982 0.8807  1 S 1.53
14 O 0.0685 0.3410 0.1134  1 S 1.43
15 O 0.0912 0.0770 0.4470  1 V 1.59
16 O 0.1040 0.4880 0.2759  1 S 1.46
17 O 0.1668 0.0548 0.3622  1 S 1.49
18 O 0.1942 0.4208 0.4805  1 S 1.50
19 O 0.2281 0.2728 0.6430  1 S 1.43

Computed properties:
raw total energy: -7.293 eV per atom


Computed, not measured: a geometry-optimized NbCoB2 structure at the r2SCAN level of DFT.

Cell lengths 5.9263, 3.1651, 8.1585 Å; angles 90.00, 90.00, 90.00 degrees
Closest atoms and distances in Å follow each position.
Space group Pnma (No. 62)
Asymmetric unit:
1 Nb 0.1367 0.2500 0.1322  9 B 2.41-2.54
2 Co 0.0094 0.7500 0.3876  5 B 1.99-2.09
3 B 0.1654 0.2500 0.8283  2 B 1.87, 2 Co 1.99-2.04
4 B 0.2293 0.2500 0.4232  2 B 1.87, 3 Co 2.07-2.09

Computed properties:
raw total energy: -13.742 eV per atom


Computed, not measured: a geometry-optimized GdErIr2 structure at the r2SCAN level of DFT.

Cell lengths 6.8309, 6.8309, 6.8309 Å; angles 90.00, 90.00, 90.00 degrees
Closest atoms and distances in Å follow each position.
Space group Fm-3m (No. 225)
Asymmetric unit:
1 Gd 0.0000 0.0000 0.0000  8 Ir 2.96
2 Er 0.0000 0.0000 0.5000  8 Ir 2.96
3 Ir 0.2500 0.2500 0.2500  4 Gd 2.96, 4 Er 2.96

Computed properties:
raw total energy: -46.403 eV per atom


Computed, not measured: a geometry-optimized Nd3Ge2Rh2 structure at the r2SCAN level of DFT.

Cell lengths 5.6834, 8.0634, 13.4851 Å; angles 90.00, 90.00, 90.00 degrees
Closest atoms and distances in Å follow each position.
Space group Pbcm (No. 57)
Asymmetric unit:
1 Nd 0.1384 0.2489 0.2500  5 Ge 3.05-3.37, 4 Rh 3.11-3.16
2 Nd 0.3555 0.6092 0.0993  4 Rh 2.95-3.21, 2 Ge 3.08-3.13
3 Ge 0.1501 0.2500 0.0000  4 Rh 2.61-2.64
4 Ge 0.3557 0.6042 0.7500  2 Rh 2.58
5 Rh 0.1205 0.5384 0.5912  3 Ge 2.58-2.64, 1 Rh 2.88

Computed properties:
raw total energy: -24.402 eV per atom


Computed, not measured: a geometry-optimized Zr4Os2N structure at the r2SCAN level of DFT.

Cell lengths 12.3969, 12.3969, 12.3969 Å; angles 90.00, 90.00, 90.00 degrees
Closest atoms and distances in Å follow each position.
Space group Fd-3m (No. 227, origin choice 2)
Asymmetric unit:
1 Zr 0.0000 0.0000 0.0000  6 Os 2.71
2 Zr 0.0601 0.3750 0.8750  2 N 2.31
3 Os 0.0385 0.0385 0.2115  6 Zr 2.71-2.88, 3 Os 3.03
4 N 0.0000 0.0000 0.5000  6 Zr 2.31

Computed properties:
raw total energy: -30.401 eV per atom


Computed, not measured: a geometry-optimized Lu3Pt structure at the r2SCAN level of DFT.

Cell lengths 6.8702, 9.2955, 6.3191 Å; angles 90.00, 90.00, 90.00 degrees
Closest atoms and distances in Å follow each position.
Space group Pnma (No. 62)
Asymmetric unit:
1 Lu 0.0272 0.2500 0.1253  2 Pt 2.73-2.79
2 Lu 0.1797 0.0609 0.6852  2 Pt 2.79-2.86
3 Pt 0.1071 0.7500 0.4573  6 Lu 2.73-2.86

Computed properties:
raw total energy: -42.273 eV per atom


Computed, not measured: a geometry-optimized PuAu3 structure at the r2SCAN level of DFT.

Cell lengths 6.4466, 4.7074, 6.4929 Å; angles 90.00, 119.70, 90.00 degrees
Closest atoms and distances in Å follow each position.
Space group Pm (No. 6)
Asymmetric unit:
1 Pu 0.0000 0.0000 0.0000  12 Au 3.08-3.26
2 Pu 0.3338 0.5000 0.6684  12 Au 3.08-3.26
3 Au 0.3578 0.5000 0.1796  6 Au 2.93-3.02, 4 Pu 3.09-3.25
4 Au 0.5122 0.0000 0.0233  6 Au 2.93-3.03, 4 Pu 3.09-3.23
5 Au 0.5124 0.0000 0.4890  6 Au 2.93-3.02, 4 Pu 3.09-3.26
6 Au 0.8235 0.5000 0.1795  6 Au 2.93-3.02, 4 Pu 3.08-3.26
7 Au 0.8228 0.5000 0.6451  6 Au 2.93-3.02, 4 Pu 3.09-3.23
8 Au 0.9781 0.0000 0.4885  6 Au 2.93-3.03, 4 Pu 3.08-3.25

Computed properties:
raw total energy: -60.091 eV per atom